No. 1
Dy3Mg2CrS8: relaxed, GGA-PBE.

Cell and atoms, written as extended XYZ:
```
14
Lattice="-4.446 5.672 -2.957 -4.458 -1.333 -6.119 -7.748 -0.330 0.754" Properties=species:S:1:pos:R:3 pbc="T T T"
S -4.327 1.143 -1.997
S -12.326 2.865 -6.326
S -10.289 0.268 -4.972
S -6.386 0.376 -5.072
S -6.362 3.740 -3.351
S -8.777 3.017 -6.670
S -7.874 0.991 -1.652
S -10.266 3.632 -3.251
Mg -14.570 3.508 -7.280
Mg -2.082 0.500 -1.043
Cr -10.555 1.341 -7.221
Dy -10.549 4.840 -5.639
Dy -4.452 2.169 -4.538
Dy -8.326 2.004 -4.161
```

Formation energy from the elements (meV per atom): -1877
Total moment (μB per atom): 0.2143
Raw total energy (eV per atom): -5.858

=====

No. 2
MgV2S4N6Cl4: relaxed, GGA-PBE.

Cell and atoms, written as extended XYZ:
```
17
Lattice="5.628 0.083 -1.129 -0.865 7.052 -0.323 -0.099 0.396 8.560" Properties=species:S:1:pos:R:3 pbc="T T T"
Mg 3.621 2.949 -0.800
Cl 4.014 4.827 5.903
Cl 1.260 6.565 6.486
Cl 3.384 0.908 0.715
Cl 0.365 2.689 1.005
N -0.509 5.407 3.156
N 5.004 0.995 6.231
N -0.199 2.222 5.113
N 3.236 4.883 0.271
N -0.373 6.579 0.742
N 1.737 2.495 6.950
S 1.169 2.897 5.539
S 4.432 1.298 4.754
S 3.753 4.692 1.771
S 0.292 6.379 2.181
V 0.935 1.227 8.149
V 3.544 6.100 -1.040
```

Formation energy from the elements (meV per atom): -555
Distance to the lowest polymorph of the same formula (meV/atom): 0
Total moment (μB per atom): 0.1163
Raw total energy (eV per atom): -5.924

=====

No. 3
K2TlAsF6: relaxed, GGA-PBE.

Cell and atoms, written as extended XYZ:
```
10
Lattice="4.266 -3.537 -3.653 1.918 -6.018 2.038 -2.085 -5.415 -3.221" Properties=species:S:1:pos:R:3 pbc="T T T"
F -0.266 -6.326 -2.867
F 3.290 -5.275 -3.109
F 4.364 -8.644 -1.968
F 1.976 -6.664 0.077
F 2.122 -8.307 -4.912
F 0.808 -9.695 -1.726
K 3.074 -11.228 -3.626
K 1.025 -3.743 -1.209
As 0.000 0.000 0.000
Tl 2.049 -7.485 -2.418
```

Formation energy from the elements (meV per atom): -2530
Total moment (μB per atom): 0.0001
Raw total energy (eV per atom): -4.326

=====

No. 4
Nd3Ge13Ru4: relaxed, GGA-PBE.

Cell and atoms, written as extended XYZ:
```
40
Lattice="9.158 0.000 0.000 0.000 9.158 0.000 0.000 0.000 9.158" Properties=species:S:1:pos:R:3 pbc="T T T"
Nd 4.579 6.868 0.000
Nd 2.289 0.000 4.579
Nd 0.000 4.579 6.868
Nd 0.000 4.579 2.289
Nd 4.579 2.289 0.000
Nd 6.868 0.000 4.579
Ge 4.579 1.878 3.245
Ge 4.579 7.279 5.913
Ge 3.245 4.579 7.279
Ge 4.579 4.579 4.579
Ge 5.913 4.579 7.279
Ge 6.457 0.000 7.824
Ge 2.700 0.000 1.334
Ge 0.000 7.824 2.700
Ge 6.457 0.000 1.334
Ge 7.824 2.700 0.000
Ge 5.913 4.579 1.878
Ge 4.579 1.878 5.913
Ge 4.579 7.279 3.245
Ge 7.279 3.245 4.579
Ge 1.878 5.913 4.579
Ge 1.334 6.457 0.000
Ge 7.824 6.457 0.000
Ge 7.279 5.913 4.579
Ge 0.000 0.000 0.000
Ge 0.000 1.334 6.457
Ge 2.700 0.000 7.824
Ge 3.245 4.579 1.878
Ge 1.878 3.245 4.579
Ge 0.000 1.334 2.700
Ge 0.000 7.824 6.457
Ge 1.334 2.700 0.000
Ru 2.289 2.289 6.868
Ru 2.289 6.868 6.868
Ru 2.289 2.289 2.289
Ru 6.868 6.868 2.289
Ru 2.289 6.868 2.289
Ru 6.868 2.289 6.868
Ru 6.868 6.868 6.868
Ru 6.868 2.289 2.289
```

Formation energy from the elements (meV per atom): -438
Total moment (μB per atom): 0.0000
Raw total energy (eV per atom): -6.014

=====

No. 5
ThUB8: relaxed, GGA-PBE.

Cell and atoms, written as extended XYZ:
```
20
Lattice="4.998 -5.113 0.000 4.998 5.113 0.000 0.000 0.000 4.036" Properties=species:S:1:pos:R:3 pbc="T T T"
B 2.499 2.557 0.810
B 6.768 -1.473 2.018
B 4.998 -4.207 2.018
B 2.499 -2.557 3.226
B 6.393 3.230 2.018
B 2.499 -2.557 0.810
B 2.499 2.557 3.226
B 4.120 0.000 2.018
B 3.228 1.473 2.018
B 3.602 -3.230 2.018
B 4.998 4.207 2.018
B 3.228 -1.473 2.018
B 3.602 3.230 2.018
B 6.393 -3.230 2.018
B 5.875 0.000 2.018
B 6.768 1.473 2.018
Th 1.882 0.000 0.000
Th 8.113 0.000 0.000
U 4.998 -1.940 0.000
U 4.998 1.940 0.000
```

Formation energy from the elements (meV per atom): -550
Total moment (μB per atom): 0.1292
Raw total energy (eV per atom): -7.764

=====

No. 6
Ac3Zr: relaxed, GGA-PBE.

Cell and atoms, written as extended XYZ:
```
4
Lattice="6.322 -1.050 -1.313 3.538 0.768 5.449 -5.371 -3.514 -1.267" Properties=species:S:1:pos:R:3 pbc="T T T"
Ac 2.941 -2.353 -0.256
Ac 1.549 -1.444 3.125
Ac 4.930 -0.141 2.068
Zr 0.000 0.000 0.000
```

Formation energy from the elements (meV per atom): 274
Distance to the lowest polymorph of the same formula (meV/atom): 7
Total moment (μB per atom): 0.0041
Raw total energy (eV per atom): -4.953

=====

No. 7
Mg5H8O9: relaxed, GGA-PBE.

Cell and atoms, written as extended XYZ:
```
22
Lattice="-1.519 2.743 -0.176 -0.429 -1.877 2.482 16.804 9.976 10.451" Properties=species:S:1:pos:R:3 pbc="T T T"
O 14.290 8.618 10.976
O 11.757 8.870 8.741
O 4.335 4.463 4.125
O 6.808 4.176 6.323
O 10.520 6.380 8.632
O 0.566 2.225 1.781
O 8.047 6.667 6.434
O 0.000 0.000 0.000
O 3.098 1.973 4.016
H 5.071 4.900 4.583
H 1.302 2.662 2.238
H 6.073 3.739 5.866
H 13.554 8.181 10.518
H 8.783 7.104 6.891
H 9.784 5.943 8.174
H 12.492 9.306 9.199
H 2.363 1.537 3.558
Mg 14.719 10.628 10.584
Mg 4.690 2.784 2.917
Mg 0.136 0.215 2.173
Mg 12.114 7.192 7.534
Mg 8.402 4.988 5.226
```

Formation energy from the elements (meV per atom): -2104
Raw total energy (eV per atom): -5.445

=====

No. 8
Ca4Al6SO16: relaxed, GGA-PBE.

Cell and atoms, written as extended XYZ:
```
108
Lattice="9.255 0.000 0.000 0.000 13.097 0.000 0.000 0.000 13.267" Properties=species:S:1:pos:R:3 pbc="T T T"
Al 6.746 6.549 6.633
Al 9.176 8.210 1.605
Al 9.176 4.887 11.662
Al 1.845 0.000 6.633
Al 6.703 0.000 0.000
Al 4.549 8.210 11.662
Al 8.998 11.494 1.615
Al 8.998 1.603 11.652
Al 4.417 4.851 4.892
Al 4.370 11.494 11.652
Al 4.185 11.529 8.360
Al 6.896 6.549 0.000
Al 4.370 1.603 1.615
Al 9.044 8.246 4.892
Al 2.076 0.000 0.000
Al 2.268 6.549 0.000
Al 6.472 0.000 6.633
Al 9.044 4.851 8.375
Al 4.185 1.568 4.907
Al 4.417 8.246 8.375
Al 4.549 4.887 1.605
Al 8.812 1.568 8.360
Al 2.119 6.549 6.633
Al 8.812 11.529 4.907
O 5.910 7.446 7.887
O 4.105 5.367 3.247
O 4.787 3.182 5.246
O 7.882 8.604 10.277
O 0.913 12.605 5.212
O 8.303 11.834 3.230
O 8.671 3.169 4.905
O 5.739 12.618 11.845
O 0.160 9.916 5.246
O 1.112 0.479 11.845
O 7.663 11.670 0.459
O 1.022 8.772 9.749
O 1.338 5.901 11.932
O 4.426 2.426 10.656
O 0.452 9.884 1.375
O 5.540 12.605 8.054
O 3.676 1.263 3.230
O 1.112 12.618 1.422
O 1.283 7.446 5.380
O 3.035 11.670 12.807
O 8.671 9.928 8.362
O 4.105 7.730 10.020
O 7.606 5.277 7.473
O 5.649 4.325 9.749
O 3.676 11.834 10.037
O 7.365 1.370 7.341
O 4.787 9.916 8.021
O 9.053 10.671 10.656
O 3.192 5.132 0.522
O 2.738 1.370 5.926
O 5.910 5.652 5.380
O 5.739 0.479 1.422
O 5.965 5.901 1.335
O 1.022 4.325 3.518
O 8.732 5.367 10.020
O 5.540 0.492 5.212
O 4.044 9.928 4.905
O 3.035 1.428 0.459
O 0.160 3.182 8.021
O 3.254 8.604 2.990
O 5.080 9.884 11.892
O 2.738 11.727 7.341
O 7.365 11.727 5.926
O 8.303 1.263 10.037
O 5.965 7.196 11.932
O 2.978 5.277 5.794
O 0.913 0.492 8.054
O 7.820 5.132 12.745
O 7.606 7.820 5.794
O 3.192 7.965 12.745
O 2.978 7.820 7.473
O 7.882 4.493 2.990
O 1.338 7.196 1.335
O 4.044 3.169 8.362
O 5.080 3.213 1.375
O 1.283 5.652 7.887
O 0.452 3.213 11.892
O 7.663 1.428 12.807
O 8.732 7.730 3.247
O 4.426 10.671 2.611
O 9.053 2.426 2.611
O 3.254 4.493 10.277
O 7.820 7.965 0.522
O 5.649 8.772 3.518
Ca 6.846 9.714 6.956
Ca 1.406 12.353 9.960
Ca 6.034 0.744 9.960
Ca 1.406 0.744 3.306
Ca 2.027 6.668 9.896
Ca 2.707 3.319 12.412
Ca 6.846 3.383 6.311
Ca 2.219 3.383 6.956
Ca 6.034 12.353 3.306
Ca 6.654 6.668 3.370
Ca 7.334 9.779 12.412
Ca 2.027 6.429 3.370
Ca 2.219 9.714 6.311
Ca 7.334 3.319 0.855
Ca 6.654 6.429 9.896
Ca 2.707 9.779 0.855
S 4.350 3.626 9.743
S 4.350 9.471 3.524
S 8.978 9.471 9.743
S 8.978 3.626 3.524
```

Formation energy from the elements (meV per atom): -3296
Distance to the lowest polymorph of the same formula (meV/atom): 0
Total moment (μB per atom): 0.0000
Raw total energy (eV per atom): -7.104

=====

No. 9
CeSe2: relaxed, GGA-PBE.

Cell and atoms, written as extended XYZ:
```
12
Lattice="-3.449 3.771 12.894 3.449 -3.771 12.894 3.449 3.771 -12.894" Properties=species:S:1:pos:R:3 pbc="T T T"
Se -1.649 3.224 9.608
Se 4.643 0.000 6.447
Se 1.649 -0.547 3.286
Se 1.725 4.213 0.000
Se 1.649 0.547 9.608
Se 1.800 0.547 16.180
Se 1.725 3.329 12.894
Se 2.255 3.771 6.447
Ce 3.449 1.886 8.031
Ce 0.000 5.657 1.572
Ce 0.000 1.886 11.323
Ce 0.000 1.886 17.758
```

Formation energy from the elements (meV per atom): -1405
Total moment (μB per atom): 0.0000
Raw total energy (eV per atom): -5.399

=====

No. 10
Ba2ErCl7: relaxed, GGA-PBE.

Cell and atoms, written as extended XYZ:
```
40
Lattice="-5.323 14.599 2.536 -6.456 -2.132 -1.277 -1.416 -2.309 10.315" Properties=species:S:1:pos:R:3 pbc="T T T"
Cl -5.072 -1.422 1.396
Cl -1.371 0.203 6.165
Cl -10.611 8.031 2.689
Cl -5.945 13.007 3.472
Cl -11.550 7.509 7.956
Cl -8.326 8.343 8.467
Cl -7.832 5.627 10.299
Cl -8.022 3.571 7.621
Cl -5.174 6.587 3.953
Cl -4.870 1.814 3.106
Cl -1.646 2.649 3.617
Cl -10.542 8.802 11.311
Cl -8.124 11.579 10.178
Cl -11.825 9.955 5.409
Cl -4.746 6.621 7.720
Cl -8.450 3.537 3.854
Cl -7.251 -2.849 8.102
Cl -4.528 -0.858 5.696
Cl -5.651 0.858 8.298
Cl -4.539 3.426 5.980
Cl -2.212 5.606 1.746
Cl -8.657 6.731 5.593
Cl -2.654 1.356 0.263
Cl -8.668 11.016 5.878
Cl -10.984 4.551 9.828
Cl -5.364 4.530 1.275
Cl -2.585 2.126 8.884
Cl -7.545 9.300 3.276
Ba -2.496 -0.425 3.153
Ba -5.988 1.533 0.126
Ba -7.978 6.214 2.303
Ba -5.218 3.944 9.270
Ba -7.014 1.250 5.435
Ba -10.700 10.583 8.420
Ba -6.182 8.908 6.139
Ba -7.208 8.624 11.448
Er -3.183 -0.416 8.111
Er -3.785 4.334 3.579
Er -10.013 10.573 3.462
Er -9.411 5.824 7.995
```

Formation energy from the elements (meV per atom): -2865
Raw total energy (eV per atom): -4.570

=====

No. 11
VNiP: relaxed, GGA-PBE.

Cell and atoms, written as extended XYZ:
```
12
Lattice="-1.049 3.203 0.913 1.889 2.081 -5.128 -6.137 -1.223 -2.757" Properties=species:S:1:pos:R:3 pbc="T T T"
V -3.960 2.578 -3.577
V -4.082 3.406 -6.620
V -1.215 0.654 -0.352
V -1.337 1.482 -3.395
Ni -4.771 1.003 -5.657
Ni -0.526 3.058 -1.315
Ni -3.464 0.411 -2.082
Ni -1.833 3.649 -4.890
P -5.116 0.289 -3.550
P -0.181 3.771 -3.422
P -2.660 1.631 -5.435
P -2.638 2.429 -1.537
```

Formation energy from the elements (meV per atom): -763
Total moment (μB per atom): 0.0000
Raw total energy (eV per atom): -7.522

=====

No. 12
TaPt2: relaxed, GGA-PBE.

Cell and atoms, written as extended XYZ:
```
6
Lattice="2.427 -4.248 0.000 2.427 4.248 0.000 0.000 0.000 4.791" Properties=species:S:1:pos:R:3 pbc="T T T"
Ta 3.745 0.000 1.198
Ta 1.108 0.000 3.593
Pt 1.377 1.376 1.198
Pt 3.476 -1.376 3.593
Pt 1.377 -1.376 1.198
Pt 3.476 1.376 3.593
```

Formation energy from the elements (meV per atom): -747
Raw total energy (eV per atom): -8.747